Record 1
# PBE-GGA Er5Co19P12, optimized geometry
data_Er5Co19P12
_chemical_formula_sum 'Er5 Co19 P12'
_symmetry_space_group_name_H-M 'P 1'
_symmetry_Int_Tables_number 1
_symmetry_space_group_name_Hall 'P 1'
_cell_length_a 11.9665
_cell_length_b 11.9665
_cell_length_c 3.6675
_cell_angle_alpha 90.00
_cell_angle_beta 90.00
_cell_angle_gamma 120.00
loop_
_atom_site_label
_atom_site_type_symbol
_atom_site_fract_x
_atom_site_fract_y
_atom_site_fract_z
Er1 Er 0.0000 0.1874 0.0000
Er2 Er 0.1874 0.0000 0.0000
Er3 Er 0.3333 0.6667 0.5000
Er4 Er 0.6667 0.3333 0.5000
Er5 Er 0.8126 0.8126 0.0000
Co1 Co 0.0000 0.0000 0.5000
Co2 Co 0.0000 0.5522 0.5000
Co3 Co 0.0000 0.7154 0.0000
Co4 Co 0.1259 0.4837 0.0000
Co5 Co 0.1779 0.8006 0.5000
Co6 Co 0.1994 0.3773 0.5000
Co7 Co 0.2846 0.2846 0.0000
Co8 Co 0.3578 0.8741 0.0000
Co9 Co 0.3773 0.1994 0.5000
Co10 Co 0.4478 0.4478 0.5000
Co11 Co 0.4837 0.1259 0.0000
Co12 Co 0.5163 0.6422 0.0000
Co13 Co 0.5522 0.0000 0.5000
Co14 Co 0.6227 0.8221 0.5000
Co15 Co 0.6422 0.5163 0.0000
Co16 Co 0.7154 0.0000 0.0000
Co17 Co 0.8006 0.1779 0.5000
Co18 Co 0.8221 0.6227 0.5000
Co19 Co 0.8741 0.3578 0.0000
P1 P 0.0000 0.3672 0.5000
P2 P 0.0000 0.8199 0.5000
P3 P 0.1659 0.6852 0.0000
P4 P 0.1801 0.1801 0.5000
P5 P 0.3148 0.4807 0.0000
P6 P 0.3672 0.0000 0.5000
P7 P 0.4807 0.3148 0.0000
P8 P 0.5193 0.8341 0.0000
P9 P 0.6328 0.6328 0.5000
P10 P 0.6852 0.1659 0.0000
P11 P 0.8199 0.0000 0.5000
P12 P 0.8341 0.5193 0.0000
# Volume: 455 Å³/f.u.
# DFT total energy: -255.269 eV/f.u.
# DFT formation energy: -0.90 eV/atom


Record 2
# PBE-GGA ErCoRu, optimized geometry
data_ErCoRu
_chemical_formula_sum 'Er2 Co2 Ru2'
_symmetry_space_group_name_H-M 'P 1'
_symmetry_Int_Tables_number 1
_symmetry_space_group_name_Hall 'P 1'
_cell_length_a 5.1847
_cell_length_b 5.1847
_cell_length_c 5.1847
_cell_angle_alpha 120.55
_cell_angle_beta 120.55
_cell_angle_gamma 89.05
loop_
_atom_site_label
_atom_site_type_symbol
_atom_site_fract_x
_atom_site_fract_y
_atom_site_fract_z
Er1 Er 0.3753 0.1253 0.2500
Er2 Er 0.6247 0.8747 0.7500
Co1 Co 0.0000 0.0000 0.5000
Co2 Co 0.0000 0.5000 0.0000
Ru1 Ru 0.0000 0.5000 0.5000
Ru2 Ru 0.5000 0.5000 0.0000
# Volume: 49 Å³/f.u.
# DFT total energy: -21.846 eV/f.u.
# DFT formation energy: -0.30 eV/atom


Record 3
# PBE-GGA Er5CoSb2, optimized geometry
data_Er5CoSb2
_chemical_formula_sum 'Er20 Co4 Sb8'
_symmetry_space_group_name_H-M 'P 1'
_symmetry_Int_Tables_number 1
_symmetry_space_group_name_Hall 'P 1'
_cell_length_a 12.0991
_cell_length_b 8.7264
_cell_length_c 7.8092
_cell_angle_alpha 90.00
_cell_angle_beta 90.00
_cell_angle_gamma 90.00
loop_
_atom_site_label
_atom_site_type_symbol
_atom_site_fract_x
_atom_site_fract_y
_atom_site_fract_z
Er1 Er 0.0019 0.2500 0.0499
Er2 Er 0.0658 0.5386 0.3241
Er3 Er 0.0658 0.9614 0.3241
Er4 Er 0.1922 0.2500 0.6228
Er5 Er 0.2051 0.7500 0.6583
Er6 Er 0.2949 0.2500 0.1583
Er7 Er 0.3078 0.7500 0.1228
Er8 Er 0.4342 0.0386 0.8241
Er9 Er 0.4342 0.4614 0.8241
Er10 Er 0.4981 0.7500 0.5499
Er11 Er 0.5019 0.2500 0.4501
Er12 Er 0.5658 0.5386 0.1759
Er13 Er 0.5658 0.9614 0.1759
Er14 Er 0.6922 0.2500 0.8772
Er15 Er 0.7051 0.7500 0.8417
Er16 Er 0.7949 0.2500 0.3417
Er17 Er 0.8078 0.7500 0.3772
Er18 Er 0.9342 0.0386 0.6759
Er19 Er 0.9342 0.4614 0.6759
Er20 Er 0.9981 0.7500 0.9501
Co1 Co 0.0100 0.2500 0.4287
Co2 Co 0.4900 0.7500 0.9287
Co3 Co 0.5100 0.2500 0.0713
Co4 Co 0.9900 0.7500 0.5713
Sb1 Sb 0.1726 0.0084 0.9316
Sb2 Sb 0.1726 0.4916 0.9316
Sb3 Sb 0.3274 0.5084 0.4316
Sb4 Sb 0.3274 0.9916 0.4316
Sb5 Sb 0.6726 0.0084 0.5684
Sb6 Sb 0.6726 0.4916 0.5684
Sb7 Sb 0.8274 0.5084 0.0684
Sb8 Sb 0.8274 0.9916 0.0684
# Volume: 206 Å³/f.u.
# DFT total energy: -43.806 eV/f.u.
# DFT formation energy: -0.75 eV/atom


Record 4
# PBE-GGA ErCo2Si2, optimized geometry
data_ErCo2Si2
_chemical_formula_sum 'Er1 Co2 Si2'
_symmetry_space_group_name_H-M 'P 1'
_symmetry_Int_Tables_number 1
_symmetry_space_group_name_Hall 'P 1'
_cell_length_a 5.5702
_cell_length_b 5.5702
_cell_length_c 5.5702
_cell_angle_alpha 139.42
_cell_angle_beta 139.42
_cell_angle_gamma 58.73
loop_
_atom_site_label
_atom_site_type_symbol
_atom_site_fract_x
_atom_site_fract_y
_atom_site_fract_z
Er1 Er 0.0000 0.0000 0.0000
Co1 Co 0.2500 0.7500 0.5000
Co2 Co 0.7500 0.2500 0.5000
Si1 Si 0.3727 0.3727 0.0000
Si2 Si 0.6273 0.6273 0.0000
# Volume: 72 Å³/f.u.
# DFT total energy: -33.809 eV/f.u.
# DFT formation energy: -0.81 eV/atom


Record 5
# PBE-GGA Er2CoSi2, optimized geometry
data_Er2CoSi2
_chemical_formula_sum 'Er4 Co2 Si4'
_symmetry_space_group_name_H-M 'P 1'
_symmetry_Int_Tables_number 1
_symmetry_space_group_name_Hall 'P 1'
_cell_length_a 5.5354
_cell_length_b 5.5354
_cell_length_c 9.9037
_cell_angle_alpha 116.63
_cell_angle_beta 116.63
_cell_angle_gamma 43.63
loop_
_atom_site_label
_atom_site_type_symbol
_atom_site_fract_x
_atom_site_fract_y
_atom_site_fract_z
Er1 Er 0.0016 0.0016 0.3291
Er2 Er 0.1869 0.1869 0.1086
Er3 Er 0.8131 0.8131 0.8914
Er4 Er 0.9984 0.9984 0.6709
Co1 Co 0.2737 0.2737 0.6274
Co2 Co 0.7263 0.7263 0.3726
Si1 Si 0.3506 0.3506 0.4345
Si2 Si 0.4923 0.4923 0.1244
Si3 Si 0.5077 0.5077 0.8756
Si4 Si 0.6494 0.6494 0.5655
# Volume: 92 Å³/f.u.
# DFT total energy: -31.001 eV/f.u.
# DFT formation energy: -0.75 eV/atom


Record 6
# PBE-GGA ErCo3Si2, optimized geometry
data_ErCo3Si2
_chemical_formula_sum 'Er2 Co6 Si4'
_symmetry_space_group_name_H-M 'P 1'
_symmetry_Int_Tables_number 1
_symmetry_space_group_name_Hall 'P 1'
_cell_length_a 6.2528
_cell_length_b 6.2528
_cell_length_c 6.2528
_cell_angle_alpha 112.53
_cell_angle_beta 87.96
_cell_angle_gamma 130.73
loop_
_atom_site_label
_atom_site_type_symbol
_atom_site_fract_x
_atom_site_fract_y
_atom_site_fract_z
Er1 Er 0.4734 0.2234 0.2500
Er2 Er 0.5266 0.7766 0.7500
Co1 Co 0.0000 0.0000 0.5000
Co2 Co 0.0000 0.2267 0.2267
Co3 Co 0.0000 0.5000 0.0000
Co4 Co 0.0000 0.7733 0.7733
Co5 Co 0.5000 0.2267 0.7267
Co6 Co 0.5000 0.7733 0.2733
Si1 Si 0.1291 0.7109 0.4182
Si2 Si 0.2073 0.2891 0.9182
Si3 Si 0.7927 0.7109 0.0818
Si4 Si 0.8709 0.2891 0.5818
# Volume: 81 Å³/f.u.
# DFT total energy: -41.127 eV/f.u.
# DFT formation energy: -0.71 eV/atom